First-principles (PBE) data for a relaxed NaMg14SiO16 crystal, as listed in the Materials Project.

Calculated values
- Excess energy over the best structure of this formula in the dataset: 13 meV per atom
- Calculated density: 3.4 g cm⁻³
- Calculated formation energy: -2861 meV per atom

Lattice parameters (Å, degrees): 8.543 8.543 4.301 90.00 90.00 90.00
Space group P4/mmm (No. 123)
Unique sites:
Na (0.000, 0.000, 0.000) x1
Mg (0.000, 0.245, 0.500) x4
Mg (0.000, 0.500, 0.000) x2
Mg (0.245, 0.245, 0.000) x4
Mg (0.247, 0.500, 0.500) x4
Si (0.500, 0.500, 0.000) x1
O (0.000, 0.000, 0.500) x1
O (0.000, 0.267, 0.000) x4
O (0.000, 0.500, 0.500) x2
O (0.252, 0.252, 0.500) x4
O (0.266, 0.500, 0.000) x4
O (0.500, 0.500, 0.500) x1